No. 1
This record from the Materials Project database describes Cd4GeSe3S3 after structural relaxation. The functional is PBE. Values from VASP.

The structure in Quantum ESPRESSO input format:
```
&SYSTEM
  ibrav = 0, nat = 22, ntyp = 4
/
ATOMIC_SPECIES
Cd 112.41 Cd.upf
Ge 72.64 Ge.upf
Se 78.96 Se.upf
S 32.06 S.upf
ATOMIC_POSITIONS angstrom
Cd -6.9706 -4.3788 -3.6087
Cd -13.1644 -6.6859 -2.6801
Cd -7.9334 -3.1405 -9.1949
Cd -14.1230 -5.4540 -8.2684
Cd -6.4635 -0.1623 -6.6825
Cd -10.2269 -6.1874 -6.9937
Cd -10.1189 -1.2354 -4.4681
Cd -12.1363 -9.9316 -5.6700
Ge -5.0885 -3.5620 -6.8099
Ge -12.5408 -3.9439 -5.2393
Se -5.0965 0.6583 -4.4824
Se -8.2986 -6.2257 -5.0800
Se -11.6508 -8.8232 -3.2242
Se -8.2682 -2.2156 -2.7188
Se -4.5039 -3.7891 -4.5271
Se -11.8271 -4.3685 -3.0224
S -3.7629 -2.0258 -7.7360
S -10.9085 -2.8768 -6.3218
S -7.1524 -2.6587 -6.7662
S -12.6783 -5.9876 -6.1784
S -3.9508 -2.2987 -1.3226
S -9.4066 -5.7348 -0.7705
CELL_PARAMETERS angstrom
-5.0770 2.8516 -4.7074
-1.1675 -3.1291 -6.7017
-10.6445 -7.2809 0.9680
```

Summary:
Its space group is Cc, No. 9. The crystal system is monoclinic. The total magnetization is 0.0000 μB per atom. As for the formation energy: -667 meV per atom.

No. 2
This record from the Materials Project database describes Sm6CdGe2S14 after structural relaxation. The functional is PBE. Values from VASP.

The structure in Quantum ESPRESSO input format:
```
&SYSTEM
  ibrav = 0, nat = 23, ntyp = 4
/
ATOMIC_SPECIES
Sm 150.36 Sm.upf
Cd 112.41 Cd.upf
Ge 72.64 Ge.upf
S 32.06 S.upf
ATOMIC_POSITIONS angstrom
Sm 0.3864 -7.4781 3.9471
Sm 3.0331 -3.9116 2.1732
Sm 3.5087 -8.3389 0.4283
Sm -0.9472 -2.2600 2.4939
Sm -3.5922 -5.8184 4.2685
Sm -4.0638 -1.3957 6.0078
Cd 2.1248 -0.5697 2.0247
Ge -0.0963 -5.9312 -0.1095
Ge -1.1488 -3.6189 5.8947
S -2.0793 -7.5239 2.5026
S 1.0991 -2.5537 0.5656
S 2.1052 -8.0950 -2.0495
S 1.7789 -2.2751 4.1408
S -1.4351 -7.2694 6.1084
S -2.4324 -1.6763 8.7288
S 1.4620 -6.3490 1.3754
S -3.7127 -2.9315 3.4516
S -1.2652 -7.7368 -0.7678
S -1.6735 -4.4814 0.5767
S 0.6618 -5.0422 -2.0318
S -1.2971 -1.4600 5.2959
S -0.8905 -4.7164 3.9530
S -3.2252 -4.1531 6.5615
CELL_PARAMETERS angstrom
-6.9932 -0.0218 7.3327
2.2994 -8.6036 -4.8338
4.1265 -1.1064 3.9322
```

Summary:
Its space group is P3, No. 143. The crystal system is trigonal. The total magnetization is 0.0000 μB per atom. As for the formation energy: -1801 meV per atom.

No. 3
This record from the Materials Project database describes Cd4GeSe6 after structural relaxation. The functional is PBE. Values from VASP.

The structure in Quantum ESPRESSO input format:
```
&SYSTEM
  ibrav = 0, nat = 22, ntyp = 3
/
ATOMIC_SPECIES
Cd 112.41 Cd.upf
Ge 72.64 Ge.upf
Se 78.96 Se.upf
ATOMIC_POSITIONS angstrom
Cd 0.8107 13.0446 6.1251
Cd -0.8107 15.2877 12.3254
Cd 0.8044 5.3093 3.7935
Cd -0.8044 7.5524 9.9939
Cd 0.5587 9.8020 3.7286
Cd -0.5587 12.0451 9.9290
Cd -2.2456 7.3212 1.7830
Cd 2.2456 9.5642 7.9833
Ge -1.7451 10.0405 6.9073
Ge 1.7451 7.7974 0.7070
Se 1.8802 7.8174 10.0239
Se -1.8802 5.5743 3.8235
Se 1.9651 5.7243 6.2351
Se -1.9651 3.4812 0.0347
Se -1.7311 9.9563 2.3151
Se 1.7311 12.1994 8.5154
Se 2.0786 7.6583 3.0501
Se -2.0786 9.9014 9.2505
Se -0.1619 6.5738 0.0474
Se 0.1619 8.8169 6.2478
Se -0.1247 4.7341 12.1044
Se 0.1247 2.4910 5.9040
CELL_PARAMETERS angstrom
3.8065 6.5826 0.0000
-3.8065 6.5826 0.0000
0.0000 4.4862 12.4008
```

Summary:
Its space group is Cc, No. 9. As for the piezoelectric modulus e_max: 0.3 C/m². The crystal system is monoclinic. The total magnetization is 0.0000 μB per atom. As for the formation energy: -759 meV per atom.

No. 4
This record from the Materials Project database describes Sm2CdGe2 after structural relaxation. The functional is PBE. Values from VASP.

The structure in Quantum ESPRESSO input format:
```
&SYSTEM
  ibrav = 0, nat = 10, ntyp = 3
/
ATOMIC_SPECIES
Sm 150.36 Sm.upf
Cd 112.41 Cd.upf
Ge 72.64 Ge.upf
ATOMIC_POSITIONS angstrom
Sm 5.0405 1.3254 2.1631
Sm 2.3897 6.1047 2.1631
Sm 1.3254 2.3897 2.1631
Sm 6.1047 5.0405 2.1631
Cd 3.7151 3.7151 0.0000
Cd 0.0000 0.0000 0.0000
Ge 0.8999 4.6149 0.0000
Ge 6.5303 2.8152 0.0000
Ge 4.6149 6.5303 0.0000
Ge 2.8152 0.8999 0.0000
CELL_PARAMETERS angstrom
0.0000 0.0000 4.3263
7.4302 0.0000 0.0000
0.0000 7.4302 0.0000
```

Summary:
Its space group is P4/mbm, No. 127. The crystal system is tetragonal. As for the formation energy: -734 meV per atom.

No. 5
This record from the Materials Project database describes Tm2CdGe2 after structural relaxation. The functional is PBE. Values from VASP.

The structure in Quantum ESPRESSO input format:
```
&SYSTEM
  ibrav = 0, nat = 10, ntyp = 3
/
ATOMIC_SPECIES
Tm 168.93 Tm.upf
Cd 112.41 Cd.upf
Ge 72.64 Ge.upf
ATOMIC_POSITIONS angstrom
Tm -4.5964 -1.0700 -2.7827
Tm -0.7623 -2.4616 -6.2102
Tm -0.9838 -2.0910 -2.4677
Tm -4.3748 -1.4406 -6.5251
Cd -2.1017 0.2275 -4.6596
Cd 0.0000 0.0000 0.0000
Ge 0.6539 -0.5591 -4.5143
Ge -4.8573 1.0142 -4.8050
Ge -2.0241 -0.0288 -7.5164
Ge -2.1792 0.4839 -1.8028
CELL_PARAMETERS angstrom
-6.5456 1.6852 -2.5841
2.3422 -1.2302 -6.7352
-1.1553 -3.9867 0.3264
```

Summary:
Its space group is P4/mbm, No. 127. The crystal system is tetragonal. As for the formation energy: -680 meV per atom.

No. 6
This record from the Materials Project database describes Cd2Hg2HS2O10 after structural relaxation. The functional is PBE. Values from VASP.

The structure in Quantum ESPRESSO input format:
```
&SYSTEM
  ibrav = 0, nat = 34, ntyp = 5
/
ATOMIC_SPECIES
Cd 112.41 Cd.upf
Hg 200.59 Hg.upf
H 1.01 H.upf
S 32.06 S.upf
O 16.00 O.upf
ATOMIC_POSITIONS angstrom
Cd 3.1682 6.3102 0.8265
Cd 3.1782 7.0306 9.5255
Cd 3.1682 4.2972 4.3495
Cd 3.1782 9.0436 6.0025
Hg 1.7905 1.3667 2.5880
Hg 4.5559 4.1001 7.7640
Hg 0.0000 0.0000 0.0000
Hg 0.0000 2.7334 5.1760
H 1.7429 5.3037 2.5880
H 4.6035 8.0371 7.7640
S 4.9513 7.2001 3.6705
S 1.3950 6.1407 6.6816
S 4.9513 3.4073 1.5056
S 1.3950 9.9335 8.8465
O 4.8518 8.2839 4.7146
O 1.4946 5.0568 5.6374
O 4.8518 2.3234 0.4614
O 1.4946 11.0173 9.8906
O 4.7541 4.7313 0.8535
O 1.5923 8.6094 9.4985
O 4.7541 5.8760 4.3225
O 1.5923 7.4647 6.0295
O 6.2630 7.2808 3.0073
O 0.0834 6.0599 7.3447
O 6.2630 3.3265 2.1687
O 0.0834 10.0142 8.1834
O 3.8326 7.4347 2.6772
O 2.5138 5.9061 7.6749
O 3.8326 3.1727 2.4989
O 2.5138 10.1681 7.8532
O 1.8902 10.1880 4.4594
O 4.4561 3.1527 5.8926
O 1.8902 0.4193 0.7166
O 4.4561 12.9214 9.6354
CELL_PARAMETERS angstrom
6.3464 0.0000 0.0000
0.0000 7.8739 0.0000
0.0000 5.4668 10.3520
```

Summary:
Its space group is P2/c, No. 13. The crystal system is monoclinic. The total magnetization is 0.0588 μB per atom. As for the formation energy: -1307 meV per atom.

No. 7
This record from the Materials Project database describes KCdP3H8O13 after structural relaxation. The functional is PBE. Values from VASP.

The structure in Quantum ESPRESSO input format:
```
&SYSTEM
  ibrav = 0, nat = 104, ntyp = 5
/
ATOMIC_SPECIES
K 39.10 K.upf
Cd 112.41 Cd.upf
P 30.97 P.upf
H 1.01 H.upf
O 16.00 O.upf
ATOMIC_POSITIONS angstrom
K -0.9391 12.2688 -1.4680
K 2.5070 3.8272 -7.1377
K 3.6219 3.3790 -0.8388
K -2.0539 12.7170 -7.7670
Cd 1.2887 11.9299 -6.4381
Cd 0.2792 4.1661 -2.1677
Cd -4.5732 9.5566 -2.9872
Cd 6.1411 6.5394 -5.6185
P 8.8570 6.8223 -3.2655
P -7.2891 9.2737 -5.3403
P -3.0148 10.1351 -10.4167
P 4.5828 5.9609 1.8110
P -0.1219 9.8592 -10.9976
P 1.6899 6.2368 2.3919
P 2.8013 7.0409 -4.7840
P -1.2334 9.0550 -3.8217
P 2.2765 8.7282 -7.1867
P -0.7086 7.3678 -1.4190
P 2.2093 7.0180 -1.9276
P -0.6413 9.0780 -6.6782
H -1.4790 13.2538 -4.4966
H 3.0470 2.8422 -4.1091
H -2.7214 14.0289 -3.9037
H 4.2893 2.0671 -4.7020
H -4.6965 12.3592 -2.7413
H 6.2645 3.7368 -5.8644
H 5.1475 4.0010 -4.7925
H -3.5795 12.0950 -3.8133
H 0.7592 4.2724 0.6649
H 0.8087 11.8235 -9.2706
H 1.3781 13.2543 -9.0503
H 0.1899 2.8417 0.4445
H 5.4151 9.4860 -5.7411
H -3.8472 6.6100 -2.8646
H -1.7165 8.1555 1.3218
H 3.2845 7.9404 -9.9275
H 1.0064 10.7277 -3.8878
H 0.5615 5.3683 -4.7179
H 1.6702 12.1291 -3.6664
H -0.1023 3.9669 -4.9394
H -0.3222 9.7978 0.3506
H 1.8901 6.2982 -8.9563
H 3.6111 10.6565 -4.5116
H -2.0432 5.4395 -4.0942
H 5.6717 6.1956 -8.4234
H -4.1037 9.9003 -0.1824
H -2.7427 9.3867 -0.7873
H 4.3106 6.7093 -7.8184
H 5.6716 5.3275 -1.1337
H -4.1037 10.7685 -7.4720
H 6.2491 5.4782 -2.5740
H -4.6812 10.6178 -6.0317
O -4.9762 13.2766 -1.3962
O 6.5442 2.8194 -7.2095
O -5.8191 9.0780 -5.0348
O 7.3870 7.0180 -3.5709
O -7.4310 10.7043 -6.0907
O 8.9990 5.3917 -2.5150
O 5.2548 5.0812 0.8065
O -3.6869 11.0148 -9.4122
O -0.1714 13.7055 -5.7378
O 1.7393 2.3905 -2.8679
O -1.4249 10.4664 -10.2674
O 2.9929 5.6295 1.6616
O 0.4928 5.5433 1.7816
O 1.0751 10.5527 -10.3873
O -0.1312 8.3640 -11.0207
O 1.6991 7.7319 2.4149
O -8.0735 9.6666 -3.9847
O 9.6414 6.4294 -4.6211
O 2.0586 5.9161 -5.4397
O -0.4907 10.1799 -3.1660
O 4.2546 6.9052 -4.4128
O -2.6866 9.1908 -4.1929
O -1.0653 7.6850 -2.9570
O 2.6333 8.4110 -5.6487
O -1.3825 8.3309 -0.4729
O 2.9504 7.7651 -8.1328
O 2.5469 10.2037 -7.3545
O -0.9790 5.8923 -1.2513
O 0.6991 8.4250 -7.3165
O 0.8688 7.6710 -1.2892
O -0.5807 10.5885 -6.7171
O 2.1487 5.5075 -1.8886
O -1.7884 8.3787 -7.3313
O 3.3564 7.7173 -1.2744
O 2.0131 7.5273 -3.4574
O -0.4452 8.5687 -5.1483
O -2.2191 13.1780 -3.8464
O 3.7871 2.9180 -4.7593
O -4.5122 11.8202 -3.5695
O 6.0801 4.2758 -5.0362
O 0.8276 3.4940 0.0476
O 0.7403 12.6020 -8.6533
O -4.3944 7.3021 -2.4033
O 5.9624 8.7939 -6.2024
O -0.1776 4.7935 -4.3680
O 1.7456 11.3025 -4.2377
O 4.5837 10.4988 -4.5426
O -3.0158 5.5971 -4.0631
O 5.0557 6.0745 -7.6492
O -3.4878 10.0215 -0.9565
O 5.8703 4.8251 -1.9542
O -4.3023 11.2709 -6.6516
CELL_PARAMETERS angstrom
3.0982 5.0604 4.6581
7.7222 0.7967 -8.4983
-9.2525 10.2389 -4.7655
```

Summary:
Its space group is P-1, No. 2. The crystal system is triclinic. The total magnetization is 0.0000 μB per atom. As for the formation energy: -1947 meV per atom.

No. 8
This record from the Materials Project database describes CdPH6NO5 after structural relaxation. The functional is PBE. Values from VASP.

The structure in Quantum ESPRESSO input format:
```
&SYSTEM
  ibrav = 0, nat = 56, ntyp = 5
/
ATOMIC_SPECIES
Cd 112.41 Cd.upf
P 30.97 P.upf
H 1.01 H.upf
N 14.01 N.upf
O 16.00 O.upf
ATOMIC_POSITIONS angstrom
Cd -4.9903 -5.6573 2.1475
Cd -2.2386 -3.0589 3.0820
Cd -1.8697 -7.3155 11.2568
Cd -4.6214 -9.9140 10.3223
P -1.9571 -4.9712 0.3129
P -4.5140 -3.8243 4.9435
P -4.9029 -8.0016 13.0914
P -2.3460 -9.1485 8.4608
H -3.8646 -7.9465 6.3888
H -1.8143 -9.3681 15.2192
H -2.9954 -5.0264 7.0155
H -5.0457 -3.6048 -1.8149
H -5.6083 -7.7741 6.3467
H -3.5545 -9.1756 15.1376
H -1.2518 -5.1988 7.0576
H -3.3056 -3.7973 -1.7333
H -2.4788 -7.3336 3.2612
H -4.3275 -1.4269 1.9833
H -4.5010 -7.0260 9.4264
H -2.4127 -10.1592 12.1377
H -4.3812 -5.6392 10.1431
H -2.5326 -11.5460 11.4210
H -2.3590 -5.9468 3.9779
H -4.4473 -2.8137 1.2666
H -4.7430 -8.0795 4.9309
H -1.3008 -0.7608 0.3406
H -2.2475 -6.4035 7.6929
H -5.4288 -10.7019 13.8441
H -2.1170 -4.8933 8.4734
H -5.5592 -12.2120 13.0637
H -4.6125 -6.5694 5.7114
H -1.4313 -2.2710 -0.4398
N -4.7036 -7.5920 5.8431
N -1.2993 -1.2527 -0.5701
N -2.1564 -5.3809 7.5613
N -5.5608 -11.7202 13.9744
O -3.4585 -4.9895 0.5993
O -0.9907 -4.0178 4.7288
O -3.4015 -7.9833 12.8050
O -5.8693 -8.9550 8.6755
O -1.3517 -6.4329 0.3065
O -3.6212 -2.5196 5.0031
O -5.6998 -8.7567 11.9522
O -3.0473 -8.2365 9.5468
O -5.5083 -6.5400 13.0979
O -3.2388 -10.4532 8.4012
O -1.1602 -4.2162 1.4521
O -3.8128 -4.7364 3.8575
O -1.6847 -4.2866 -1.0575
O -4.4861 -4.5405 6.3245
O -5.1753 -8.6863 14.4618
O -2.3740 -8.4324 7.0798
O -1.8375 -6.7585 3.7511
O -3.7863 -2.1259 1.5353
O -5.0225 -6.2144 9.6532
O -3.0737 -10.8470 11.8690
CELL_PARAMETERS angstrom
-4.9646 0.5200 -0.1762
-0.4500 -5.2083 -2.6916
-1.4454 -8.2846 16.2722
```

Summary:
Its space group is Pnma, No. 62. The crystal system is orthorhombic. The total magnetization is 0.0000 μB per atom. As for the formation energy: -1466 meV per atom.

No. 9
This record from the Materials Project database describes CdH10S2N4O8 after structural relaxation. The functional is PBE. Values from VASP.

The structure in Quantum ESPRESSO input format:
```
&SYSTEM
  ibrav = 0, nat = 25, ntyp = 5
/
ATOMIC_SPECIES
Cd 112.41 Cd.upf
H 1.01 H.upf
S 32.06 S.upf
N 14.01 N.upf
O 16.00 O.upf
ATOMIC_POSITIONS angstrom
Cd 0.0000 0.0000 0.0000
H -2.3987 0.0919 -3.6416
H -6.1615 -2.9964 -1.5641
H -2.4846 -1.7316 -5.7983
H -6.0755 -1.1730 0.5927
H -3.1430 -4.9205 -4.3294
H -5.4171 2.0160 -0.8763
H -3.3246 -1.3072 -3.7823
H -5.2355 -1.5974 -1.4234
H -3.6688 0.0283 -4.7395
H -4.8914 -2.9329 -0.4662
S -4.8217 -3.5662 -4.4063
S -3.7384 0.6617 -0.7994
N -1.9323 -1.0570 -5.2590
N -6.6278 -1.8476 0.0533
N -2.8900 -0.5153 -4.3074
N -5.6701 -2.3893 -0.8983
O -4.1199 -2.8660 -3.3236
O -4.4402 -0.0386 -1.8821
O -4.5814 -2.9853 -5.7245
O -3.9787 0.0807 0.5189
O -6.2080 -3.9014 -4.1148
O -2.3521 0.9968 -1.0909
O -4.1014 -5.0680 -4.4549
O -4.4587 2.1634 -0.7508
CELL_PARAMETERS angstrom
-4.3625 3.8552 1.3408
-0.9872 0.3387 -6.5499
-3.2105 -7.0984 0.0034
```

Summary:
The value obtained for the distance to the lowest polymorph of the same formula is 132 meV/atom. Its space group is P-1, No. 2. The crystal system is triclinic. The total magnetization is 0.0001 μB per atom. As for the formation energy: -884 meV per atom.

No. 10
This record from the Materials Project database describes CdH10S2N4O8 after structural relaxation. The functional is PBE. Values from VASP.

The structure in Quantum ESPRESSO input format:
```
&SYSTEM
  ibrav = 0, nat = 25, ntyp = 5
/
ATOMIC_SPECIES
Cd 112.41 Cd.upf
H 1.01 H.upf
S 32.06 S.upf
N 14.01 N.upf
O 16.00 O.upf
ATOMIC_POSITIONS angstrom
Cd 0.0000 0.0000 0.0000
H 3.6770 0.1159 4.4216
H -0.8520 5.2502 2.8337
H -1.1231 1.3284 5.2098
H 3.9480 4.0378 2.0456
H 2.4997 2.0522 4.2985
H 0.3252 3.3140 2.9569
H 1.6406 0.8555 5.1715
H 1.1843 4.5107 2.0838
H 2.4118 2.1107 6.0148
H 0.4131 3.2554 1.2405
S -0.1261 3.9401 5.6350
S 2.9511 1.4260 1.6204
N 3.6646 0.6769 5.2812
N -0.8397 4.6892 1.9741
N 2.4723 1.4960 5.1873
N 0.3527 3.8701 2.0681
O 1.0298 3.9797 6.5747
O 1.7951 1.3864 0.6807
O -1.3889 3.6728 6.4109
O 4.2138 1.6934 0.8444
O -0.2612 5.2299 4.8909
O 3.0862 0.1363 2.3644
O 0.0587 2.8149 4.6688
O 2.7662 2.5513 2.5866
CELL_PARAMETERS angstrom
5.5899 0.0000 0.0000
-0.9985 5.9146 0.0000
-1.7665 -0.5484 7.2553
```

Summary:
The value obtained for the distance to the lowest polymorph of the same formula is 0 meV/atom. Its space group is P-1, No. 2. The crystal system is triclinic. The total magnetization is 0.0002 μB per atom. As for the formation energy: -1015 meV per atom.